(1)
Compound: RbTiCl3
Source: the Materials Project
Functional: r2SCAN
Structure: optimized geometry

Geometry as CIF:
```
data_RbTiCl3
_chemical_formula_sum 'Rb4 Ti4 Cl12'
_symmetry_space_group_name_H-M 'C 1 2/c 1'
_symmetry_Int_Tables_number 15
_cell_length_a 7.2312
_cell_length_b 12.5259
_cell_length_c 5.7058
_cell_angle_alpha 90.00
_cell_angle_beta 90.23
_cell_angle_gamma 90.00
loop_
_symmetry_equiv_pos_as_xyz
'x,y,z'
'-x,-y,-z'
'-x,y,-z+1/2'
'x,-y,z+1/2'
'x+1/2,y+1/2,z'
'-x+1/2,-y+1/2,-z'
'-x+1/2,y+1/2,-z+1/2'
'x+1/2,-y+1/2,z+1/2'
loop_
_atom_site_label
_atom_site_type_symbol
_atom_site_fract_x
_atom_site_fract_y
_atom_site_fract_z
_atom_site_occupancy
Rb1 Rb 0.0000 0.1666 0.2500 1
Ti1 Ti 0.0000 0.5000 0.0000 1
Cl1 Cl 0.0000 0.3349 0.7500 1
Cl2 Cl 0.2478 0.4174 0.2490 1
```

Results
DFT total energy   -10.97 eV/atom
Density   3081 kg/m3
Size of the total moment   0.234 μB/atom

***

(2)
Compound: YMg7
Source: the Materials Project
Functional: r2SCAN
Structure: optimized geometry

Geometry as CIF:
```
data_YMg7
_chemical_formula_sum 'Y1 Mg7'
_symmetry_space_group_name_H-M 'P -6 m 2'
_symmetry_Int_Tables_number 187
_symmetry_space_group_name_Hall 'P -6 2'
_cell_length_a 6.5861
_cell_length_b 6.5861
_cell_length_c 5.1544
_cell_angle_alpha 90.00
_cell_angle_beta 90.00
_cell_angle_gamma 120.00
loop_
_atom_site_label
_atom_site_type_symbol
_atom_site_fract_x
_atom_site_fract_y
_atom_site_fract_z
_atom_site_occupancy
Y1 Y 0.0000 0.0000 0.0000 1
Mg1 Mg 0.0084 0.5042 0.0000 1
Mg2 Mg 0.1697 0.3394 0.5000 1
Mg3 Mg 0.6667 0.3333 0.5000 1
```

Results
DFT total energy   -6.18 eV/atom
Density   2222 kg/m3
Size of the total moment   0.000 μB/atom

***

(3)
Compound: Sr3GaAs3
Source: the Materials Project
Functional: r2SCAN
Structure: optimized geometry

Geometry as CIF:
```
data_Sr3GaAs3
_chemical_formula_sum 'Sr24 Ga8 As24'
_symmetry_space_group_name_H-M 'P n m a'
_symmetry_Int_Tables_number 62
_cell_length_a 12.8079
_cell_length_b 19.3487
_cell_length_c 6.5230
_cell_angle_alpha 90.00
_cell_angle_beta 90.00
_cell_angle_gamma 90.00
loop_
_symmetry_equiv_pos_as_xyz
'x,y,z'
'-x,-y,-z'
'-x+1/2,-y,z+1/2'
'x+1/2,y,-z+1/2'
'x+1/2,-y+1/2,-z+1/2'
'-x+1/2,y+1/2,z+1/2'
'-x,y+1/2,-z'
'x,-y+1/2,z'
loop_
_atom_site_label
_atom_site_type_symbol
_atom_site_fract_x
_atom_site_fract_y
_atom_site_fract_z
_atom_site_occupancy
Sr1 Sr 0.0124 0.0742 0.2231 1
Sr2 Sr 0.0191 0.2500 0.8297 1
Sr3 Sr 0.2323 0.2500 0.3120 1
Sr4 Sr 0.2356 0.0734 0.6920 1
Ga1 Ga 0.1265 0.6632 0.4864 1
As1 As 0.0115 0.5899 0.2672 1
As2 As 0.0174 0.7500 0.6860 1
As3 As 0.2343 0.7500 0.2908 1
As4 As 0.2410 0.5900 0.7057 1
```

Results
DFT total energy   -15.63 eV/atom
Density   4580 kg/m3
Size of the total moment   0.000 μB/atom

***

(4)
Compound: KAuBr4
Source: the Materials Project
Functional: r2SCAN
Structure: optimized geometry

Geometry as CIF:
```
data_KAuBr4
_chemical_formula_sum 'K4 Au4 Br16'
_symmetry_space_group_name_H-M 'P 1 21/c 1'
_symmetry_Int_Tables_number 14
_cell_length_a 9.2580
_cell_length_b 6.6999
_cell_length_c 12.9414
_cell_angle_alpha 90.00
_cell_angle_beta 97.50
_cell_angle_gamma 90.00
loop_
_symmetry_equiv_pos_as_xyz
'x,y,z'
'-x,-y,-z'
'-x,y+1/2,-z+1/2'
'x,-y+1/2,z+1/2'
loop_
_atom_site_label
_atom_site_type_symbol
_atom_site_fract_x
_atom_site_fract_y
_atom_site_fract_z
_atom_site_occupancy
K1 K 0.2089 0.0578 0.1823 1
Au1 Au 0.0000 0.0000 0.5000 1
Au2 Au 0.5000 0.0000 0.5000 1
Br1 Br 0.0914 0.5582 0.1847 1
Br2 Br 0.1337 0.7045 0.4528 1
Br3 Br 0.3324 0.2378 0.9261 1
Br4 Br 0.4963 0.6521 0.8275 1
```

Results
DFT total energy   -19.14 eV/atom
Density   4638 kg/m3
Size of the total moment   0.000 μB/atom